A relaxed structure of AlH3O3. Source: Materials Project, functional GGA-PBE.

Structure (POSCAR):
```
AlH3O3
1.0
5.231 0.000 0.000
0.000 9.466 0.000
-0.217 0.000 8.665
Al H O
8 24 24
Cartesian
0.000 2.347 0.000 Al
-0.108 7.119 4.332 Al
-0.020 2.389 2.951 Al
-0.128 7.077 7.283 Al
2.386 2.345 7.270 Al
2.495 7.121 2.938 Al
2.601 2.373 4.334 Al
2.709 7.093 0.001 Al
0.566 3.896 6.599 H
0.674 5.570 2.266 H
0.882 1.228 5.587 H
0.990 8.238 1.254 H
1.078 4.341 3.974 H
0.969 5.125 8.306 H
1.316 0.390 8.338 H
1.424 9.076 4.005 H
1.566 3.595 1.503 H
1.457 5.871 5.836 H
1.858 0.816 2.290 H
1.749 8.650 6.623 H
3.366 3.711 0.759 H
3.257 5.755 5.091 H
3.630 1.146 1.442 H
3.522 8.320 5.775 H
3.672 4.361 3.338 H
3.563 5.105 7.670 H
4.063 3.595 5.871 H
4.171 5.871 1.539 H
4.176 0.415 4.075 H
4.068 9.051 8.407 H
4.281 0.896 6.608 H
4.389 8.570 2.275 H
0.608 3.439 1.460 O
0.499 6.027 5.792 O
0.804 3.405 7.406 O
0.912 6.061 3.073 O
0.974 3.393 4.208 O
0.866 6.073 8.540 O
1.391 1.346 8.552 O
1.499 8.120 4.219 O
1.592 1.314 3.085 O
1.483 8.152 7.417 O
1.838 1.298 5.762 O
1.947 8.168 1.429 O
3.109 3.418 5.842 O
3.218 6.047 1.510 O
3.409 3.386 8.542 O
3.517 6.080 4.210 O
3.593 3.417 3.073 O
3.485 6.049 7.406 O
3.977 1.286 7.448 O
4.086 8.180 3.116 O
4.253 1.370 4.279 O
4.145 8.096 8.612 O
4.587 1.309 1.491 O
4.479 8.157 5.823 O
```

## Properties
- crystal system = monoclinic
- offset from the most stable computed form (eV per atom) = 0.024
- DFT total energy (eV per atom) = -5.836
- magnetic moment (μB/atom) = 0.00
- energy of formation (eV/atom) = -2.021

---

A relaxed structure of AlH3O3. Source: Materials Project, functional GGA-PBE.

Structure (POSCAR):
```
AlH3O3
1.0
5.237 0.000 0.000
0.000 9.424 0.000
0.000 0.000 8.780
Al H O
8 24 24
Cartesian
0.089 0.017 1.487 Al
0.089 4.695 5.877 Al
2.530 4.729 1.487 Al
2.530 9.407 5.877 Al
2.707 0.017 2.903 Al
2.707 4.695 7.293 Al
5.149 4.729 2.903 Al
5.149 9.407 7.293 Al
0.762 6.585 1.186 H
0.762 7.551 5.576 H
0.927 6.546 7.494 H
0.927 7.589 3.103 H
1.038 1.073 4.282 H
1.038 3.639 8.672 H
1.581 5.785 4.282 H
1.581 8.351 8.672 H
1.692 1.834 7.494 H
1.692 2.877 3.103 H
1.857 1.873 1.186 H
1.857 2.839 5.576 H
3.381 6.585 3.204 H
3.381 7.551 7.594 H
3.546 6.546 5.677 H
3.546 7.589 1.287 H
3.657 1.073 0.109 H
3.657 3.639 4.499 H
4.200 5.785 0.109 H
4.200 8.351 4.499 H
4.310 1.834 5.677 H
4.310 2.877 1.287 H
4.476 1.873 3.204 H
4.476 2.839 7.594 H
0.609 5.820 4.352 O
0.609 8.316 8.742 O
0.891 5.695 1.561 O
0.891 8.441 5.951 O
1.134 5.689 7.092 O
1.134 8.447 2.702 O
1.485 0.977 7.092 O
1.485 3.735 2.702 O
1.727 0.983 1.561 O
1.727 3.729 5.951 O
2.010 1.108 4.352 O
2.010 3.604 8.742 O
3.227 5.820 0.038 O
3.227 8.316 4.428 O
3.510 5.695 2.830 O
3.510 8.441 7.220 O
3.752 5.689 6.078 O
3.752 8.447 1.688 O
4.104 0.977 6.078 O
4.104 3.735 1.688 O
4.346 0.983 2.830 O
4.346 3.729 7.220 O
4.629 1.108 0.038 O
4.629 3.604 4.428 O
```

## Properties
- crystal system = orthorhombic
- offset from the most stable computed form (eV per atom) = 0.025
- DFT total energy (eV per atom) = -5.835
- energy of formation (eV/atom) = -2.020

---

A relaxed structure of AlH3O3. Source: Materials Project, functional GGA-PBE.

Structure (POSCAR):
```
AlH3O3
1.0
5.086 0.000 0.000
0.067 8.782 0.000
0.114 0.079 9.383
Al H O
8 24 24
Cartesian
0.000 0.000 0.000 Al
0.121 4.376 5.013 Al
2.399 8.755 4.813 Al
2.350 4.210 0.332 Al
2.555 1.366 9.383 Al
2.630 5.894 4.958 Al
4.914 1.446 4.830 Al
4.992 5.832 0.291 Al
0.472 3.601 8.629 H
0.742 7.248 7.567 H
0.787 2.537 6.896 H
0.841 7.005 3.841 H
0.785 2.495 1.266 H
0.908 0.514 6.816 H
1.094 5.406 6.968 H
1.448 0.212 2.038 H
1.653 4.554 3.052 H
1.685 1.895 3.168 H
1.782 6.285 1.876 H
2.633 2.049 5.935 H
2.923 6.622 8.424 H
3.002 3.928 6.336 H
3.385 7.539 1.200 H
3.437 3.226 3.815 H
3.494 0.159 7.471 H
3.536 5.370 7.532 H
3.885 2.861 7.930 H
3.964 1.053 2.002 H
4.149 5.510 3.044 H
4.216 7.539 5.892 H
4.313 8.268 3.204 H
4.303 3.789 1.737 H
0.674 2.824 5.949 O
0.798 7.206 8.540 O
0.740 0.131 5.883 O
0.863 4.501 8.681 O
1.022 1.285 8.344 O
1.038 5.669 6.024 O
1.330 1.170 3.720 O
1.427 5.546 1.338 O
1.666 8.732 1.102 O
1.769 4.433 4.019 O
1.807 7.190 3.853 O
1.747 2.706 1.267 O
3.150 2.989 8.543 O
3.243 7.402 5.887 O
3.274 1.322 5.805 O
3.399 5.750 8.505 O
3.561 0.094 8.443 O
3.586 4.693 6.166 O
3.890 0.221 3.740 O
3.911 4.577 1.305 O
4.122 1.303 1.064 O
4.284 5.744 3.990 O
4.346 7.329 1.185 O
4.398 3.047 3.914 O
```

## Properties
- crystal system = triclinic
- offset from the most stable computed form (eV per atom) = 0.043
- DFT total energy (eV per atom) = -5.816
- magnetic moment (μB/atom) = 0.00
- energy of formation (eV/atom) = -2.001

---

A relaxed structure of AlH3O3. Source: Materials Project, functional GGA-PBE.

Structure (POSCAR):
```
AlH3O3
1.0
4.960 0.000 0.000
-2.417 4.545 0.000
-0.788 -1.787 4.814
Al H O
2 6 6
Cartesian
0.000 0.000 0.000 Al
-0.740 1.137 4.803 Al
-1.429 2.840 2.952 H
0.670 1.482 2.006 H
1.437 0.575 3.715 H
2.713 0.487 1.030 H
3.505 -0.344 2.841 H
2.782 2.448 1.136 H
-1.540 3.187 1.090 O
-1.630 2.485 3.842 O
0.754 1.469 1.016 O
0.848 1.356 3.765 O
3.363 -0.244 1.075 O
3.504 -0.332 3.835 O
```

## Properties
- piezoelectric modulus e_max (C/m2) = 0.6
- crystal system = triclinic
- offset from the most stable computed form (eV per atom) = 0.006
- DFT total energy (eV per atom) = -5.854
- magnetic moment (μB/atom) = 0.00
- energy of formation (eV/atom) = -2.038

---

A relaxed structure of AlH3O3. Source: Materials Project, functional GGA-PBE.

Structure (POSCAR):
```
AlH3O3
1.0
8.889 0.000 0.000
0.000 5.170 0.000
-0.913 0.000 9.834
Al H O
8 24 24
Cartesian
0.433 0.000 2.509 Al
0.095 5.122 7.353 Al
3.441 5.023 2.460 Al
3.073 5.063 7.331 Al
4.903 2.478 2.503 Al
4.535 2.438 7.374 Al
7.881 2.537 2.481 Al
7.543 2.585 7.325 Al
-0.116 3.578 5.326 H
0.382 1.575 0.480 H
1.147 3.191 3.662 H
0.817 1.995 8.452 H
1.683 4.010 0.705 H
1.583 0.454 5.391 H
2.237 1.529 3.649 H
1.803 3.930 9.127 H
2.748 1.895 1.288 H
2.357 2.940 6.299 H
3.608 3.458 4.494 H
3.198 1.468 9.373 H
4.778 4.053 0.461 H
4.368 0.873 5.340 H
5.619 0.354 3.534 H
5.228 4.480 8.546 H
6.173 1.345 0.707 H
5.739 4.114 6.185 H
6.393 3.039 4.443 H
6.293 1.425 9.129 H
7.159 4.580 1.382 H
6.829 0.606 6.172 H
7.594 4.160 9.354 H
8.092 0.992 4.508 H
0.278 1.576 1.455 O
-0.152 3.571 6.310 O
0.258 3.578 3.562 O
-0.059 1.564 8.410 O
1.875 4.452 1.539 O
1.589 0.582 6.367 O
2.021 0.582 3.533 O
1.609 4.435 8.336 O
3.621 1.481 1.421 O
3.214 3.411 6.322 O
3.564 3.404 3.508 O
3.315 1.460 8.399 O
4.661 4.045 1.435 O
4.412 0.819 6.326 O
4.762 0.826 3.512 O
4.355 4.066 8.413 O
6.367 1.850 1.498 O
5.955 3.167 6.301 O
6.387 3.167 3.467 O
6.101 1.867 8.295 O
8.035 4.150 1.424 O
7.718 0.993 6.271 O
8.128 0.986 3.524 O
7.698 4.161 8.379 O
```

## Properties
- crystal system = monoclinic
- offset from the most stable computed form (eV per atom) = 0.021
- DFT total energy (eV per atom) = -5.839
- magnetic moment (μB/atom) = 0.00
- energy of formation (eV/atom) = -2.024

---

A relaxed structure of AlH3O3. Source: Materials Project, functional GGA-PBE.

Structure (POSCAR):
```
AlH3O3
1.0
5.123 0.000 0.000
0.000 8.763 0.000
-5.077 0.000 9.508
Al H O
8 24 24
Cartesian
0.130 1.450 0.034 Al
-2.409 2.931 4.788 Al
-2.677 5.852 9.475 Al
-0.139 7.292 4.721 Al
0.185 1.471 4.787 Al
2.724 2.911 0.033 Al
2.455 5.832 4.720 Al
-0.083 7.312 9.474 Al
-1.296 6.391 2.745 H
-3.834 6.753 7.499 H
-1.561 0.330 3.556 H
-4.100 4.051 8.310 H
-2.291 4.432 6.722 H
0.247 8.712 1.968 H
-1.793 0.842 6.139 H
0.746 3.539 1.385 H
-2.813 0.731 8.422 H
-0.275 3.651 3.668 H
0.944 6.191 1.951 H
-1.595 6.953 6.705 H
1.641 1.810 2.803 H
-0.898 2.572 7.557 H
0.321 5.112 5.840 H
2.860 8.032 1.086 H
-0.700 5.224 8.123 H
1.839 7.921 3.369 H
-0.201 0.051 7.540 H
2.337 4.331 2.786 H
4.146 4.712 1.198 H
1.607 8.432 5.953 H
3.881 2.009 2.010 H
1.342 2.372 6.764 H
-1.114 6.094 3.664 O
-3.653 7.051 8.418 O
-1.902 4.462 5.817 O
0.636 8.683 1.063 O
-3.306 1.569 8.532 O
-0.768 2.813 3.778 O
0.769 5.910 1.021 O
-1.770 7.234 5.775 O
-0.622 0.099 3.707 O
-3.160 4.282 8.461 O
-1.397 1.685 5.857 O
1.142 2.696 1.103 O
-1.096 6.066 8.406 O
1.443 7.078 3.651 O
3.207 4.480 1.047 O
0.668 8.664 5.801 O
1.816 1.528 3.733 O
-0.723 2.853 8.487 O
0.814 5.950 5.730 O
3.353 7.194 0.976 O
-0.590 0.080 8.446 O
1.948 4.301 3.691 O
3.699 1.712 1.090 O
1.161 2.669 5.844 O
```

## Properties
- crystal system = monoclinic
- offset from the most stable computed form (eV per atom) = 0.009
- DFT total energy (eV per atom) = -5.850
- magnetic moment (μB/atom) = 0.00
- energy of formation (eV/atom) = -2.035

---

A relaxed structure of AlH3O3. Source: Materials Project, functional GGA-PBE.

Structure (POSCAR):
```
AlH3O3
1.0
4.966 0.000 0.000
-0.271 9.002 0.000
-0.068 -0.218 9.672
Al H O
8 24 24
Cartesian
0.000 0.000 0.000 Al
4.931 -0.093 4.821 Al
2.174 7.364 4.849 Al
2.214 7.440 0.004 Al
2.236 4.339 9.655 Al
2.304 4.372 4.850 Al
4.779 2.837 4.821 Al
4.750 2.757 9.655 Al
-0.055 6.824 5.984 H
0.017 4.914 5.931 H
0.506 1.296 7.682 H
0.631 5.587 3.686 H
0.701 4.067 7.665 H
0.678 7.574 7.690 H
1.325 3.191 2.852 H
1.242 8.661 2.843 H
1.592 1.506 5.808 H
1.722 5.965 1.974 H
2.060 2.451 1.151 H
2.273 0.539 1.115 H
2.447 2.217 8.588 H
2.692 0.328 8.526 H
2.855 5.862 6.826 H
3.138 1.257 3.848 H
3.233 3.058 6.827 H
3.163 8.597 6.815 H
3.824 4.182 2.828 H
3.767 7.697 1.981 H
3.898 5.832 8.624 H
4.244 1.477 1.983 H
4.119 6.622 3.699 H
4.478 5.178 1.032 H
0.614 1.397 5.850 O
0.610 1.293 8.676 O
0.656 4.097 8.659 O
0.684 4.196 5.929 O
0.574 7.447 8.665 O
0.603 7.546 5.913 O
1.393 3.053 3.830 O
1.442 3.205 1.083 O
1.268 8.700 3.836 O
1.320 8.837 1.082 O
1.575 5.973 1.000 O
1.570 5.831 3.809 O
2.916 5.785 8.603 O
3.003 5.880 5.837 O
3.131 2.922 8.624 O
3.189 3.025 5.838 O
3.049 8.583 8.575 O
3.092 8.687 5.831 O
3.723 7.515 3.741 O
3.797 7.688 0.991 O
3.902 4.267 3.814 O
3.925 4.364 1.019 O
4.119 1.341 3.793 O
4.140 1.497 0.990 O
```

## Properties
- crystal system = triclinic
- offset from the most stable computed form (eV per atom) = 0.008
- DFT total energy (eV per atom) = -5.852
- magnetic moment (μB/atom) = 0.00
- energy of formation (eV/atom) = -2.036

---

A relaxed structure of AlH3O3. Source: Materials Project, functional GGA-PBE.

Structure (POSCAR):
```
AlH3O3
1.0
4.839 0.000 0.000
0.000 8.767 0.000
-1.007 0.000 5.005
Al H O
4 12 12
Cartesian
0.049 1.446 0.232 Al
-0.454 2.938 2.735 Al
4.287 5.829 2.270 Al
3.783 7.321 4.773 Al
0.131 4.770 4.320 H
0.634 8.381 1.818 H
0.999 1.016 3.754 H
1.502 3.368 1.252 H
1.680 6.037 1.046 H
1.177 7.113 3.549 H
2.656 1.654 1.457 H
2.152 2.730 3.959 H
2.331 5.399 3.753 H
2.834 7.751 1.251 H
3.199 0.386 3.188 H
3.702 3.997 0.685 H
0.734 5.881 0.830 O
0.231 7.270 3.332 O
0.362 4.533 3.391 O
0.865 8.618 0.889 O
0.412 1.765 3.969 O
0.915 2.618 1.467 O
2.917 6.149 3.538 O
3.421 7.002 1.036 O
2.968 0.149 4.116 O
3.471 4.234 1.614 O
3.602 1.497 1.673 O
3.098 2.886 4.175 O
```

## Properties
- crystal system = monoclinic
- offset from the most stable computed form (eV per atom) = 0.013
- DFT total energy (eV per atom) = -5.847
- magnetic moment (μB/atom) = 0.00
- energy of formation (eV/atom) = -2.031

---

The records above yield E (MP2020) values of -6.130; -6.129; -6.111; -6.148; -6.133; -6.145; -6.146; -6.141 eV per atom, respectively.